Record 1
DFT (GGA+U) results for crystalline Li9Mn2Co5O16 at its relaxed geometry.

Cell lengths 2.896, 5.206, 19.434 Å; angles 82.95, 90.00, 90.00 degrees
Element x y z (fractional)
Li 0.500 0.884 0.873
Li 0.500 0.606 0.620
Li 0.500 0.381 0.378
Li 0.500 0.127 0.128
Li 0.000 0.368 0.875
Li 0.000 0.120 0.618
Li 0.000 0.887 0.380
Li 0.000 0.626 0.126
Li 0.000 0.500 0.499
Mn 0.000 0.000 0.001
Mn 0.000 0.746 0.748
Co 0.000 0.252 0.252
Co 0.500 0.501 0.000
Co 0.500 0.247 0.747
Co 0.500 0.000 0.500
Co 0.500 0.752 0.253
O 0.500 0.165 0.943
O 0.500 0.923 0.693
O 0.500 0.739 0.447
O 0.500 0.439 0.194
O 0.000 0.658 0.943
O 0.000 0.412 0.686
O 0.000 0.169 0.445
O 0.000 0.937 0.195
O 0.500 0.569 0.805
O 0.500 0.263 0.552
O 0.500 0.069 0.308
O 0.500 0.835 0.059
O 0.000 0.084 0.808
O 0.000 0.831 0.555
O 0.000 0.567 0.310
O 0.000 0.344 0.057

Properties
- energy (eV/atom) = -5.7795
- E_form (eV per atom) = -1.79
- ΔE to the lowest computed polymorph (eV/atom) = 0.075
- M_tot (μB/cell) = 11.9

---

Record 2
DFT (GGA+U) results for crystalline LuCuMo2O8 at its relaxed geometry.

Cell lengths 5.067, 7.640, 7.640 Å; angles 100.39, 90.86, 90.86 degrees
Element x y z (fractional)
Lu 0.750 0.842 0.158
Lu 0.250 0.158 0.842
Cu 0.750 0.339 0.661
Cu 0.250 0.661 0.339
Mo 0.744 0.348 0.172
Mo 0.256 0.652 0.828
Mo 0.756 0.828 0.652
Mo 0.244 0.172 0.348
O 0.394 0.686 0.055
O 0.606 0.314 0.945
O 0.106 0.945 0.314
O 0.894 0.055 0.686
O 0.952 0.805 0.907
O 0.048 0.195 0.093
O 0.548 0.093 0.195
O 0.452 0.907 0.805
O 0.898 0.569 0.196
O 0.102 0.431 0.804
O 0.602 0.804 0.431
O 0.398 0.196 0.569
O 0.569 0.588 0.697
O 0.431 0.412 0.303
O 0.931 0.303 0.412
O 0.069 0.697 0.588

Properties
- energy (eV/atom) = -7.0929
- E_form (eV per atom) = -2.26
- M_tot (μB/cell) = 0.0

---

Record 3
DFT (GGA+U) results for crystalline Cr2Fe3CoP6O24 at its relaxed geometry.

Cell lengths 8.363, 8.363, 8.363 Å; angles 61.68, 61.68, 61.68 degrees
Element x y z (fractional)
Cr 0.000 0.000 0.000
Cr 0.499 0.499 0.499
Fe 0.145 0.145 0.145
Fe 0.353 0.353 0.353
Fe 0.646 0.646 0.646
Co 0.860 0.860 0.860
P 0.750 0.045 0.460
P 0.045 0.460 0.750
P 0.460 0.750 0.045
P 0.549 0.246 0.950
P 0.950 0.549 0.246
P 0.246 0.950 0.549
O 0.315 0.107 0.511
O 0.511 0.315 0.107
O 0.907 0.057 0.254
O 0.107 0.511 0.315
O 0.817 0.008 0.618
O 0.595 0.251 0.439
O 0.057 0.254 0.907
O 0.251 0.439 0.595
O 0.393 0.174 0.993
O 0.439 0.595 0.251
O 0.753 0.087 0.937
O 0.993 0.393 0.174
O 0.008 0.618 0.817
O 0.254 0.907 0.057
O 0.565 0.402 0.747
O 0.618 0.817 0.008
O 0.747 0.565 0.402
O 0.937 0.753 0.087
O 0.402 0.747 0.565
O 0.174 0.993 0.393
O 0.894 0.498 0.673
O 0.087 0.937 0.753
O 0.498 0.673 0.894
O 0.673 0.894 0.498

Properties
- energy (eV/atom) = -7.1604
- E_form (eV per atom) = -2.32
- M_tot (μB/cell) = 21.0

---

Record 4
DFT (GGA+U) results for crystalline Na2Ti3MnSi4O22 at its relaxed geometry.

Cell lengths 5.411, 7.135, 11.736 Å; angles 84.95, 82.37, 89.65 degrees
Element x y z (fractional)
Na 0.324 0.750 0.289
Na 0.814 0.510 0.269
Ti 0.745 0.815 0.024
Ti 0.388 0.973 0.579
Ti 0.344 0.224 0.285
Mn 0.801 0.017 0.280
Si 0.905 0.251 0.508
Si 0.894 0.710 0.504
Si 0.252 0.508 0.053
Si 0.216 0.089 0.037
O 0.636 0.780 0.574
O 0.149 0.060 0.182
O 0.465 0.396 0.755
O 0.479 0.986 0.999
O 0.645 0.159 0.573
O 0.922 0.793 0.367
O 0.142 0.168 0.569
O 0.642 0.345 0.804
O 0.222 0.455 0.194
O 0.706 0.838 0.185
O 0.806 0.819 0.842
O 0.513 0.618 0.012
O 0.402 0.436 0.360
O 0.655 0.215 0.198
O 0.141 0.786 0.553
O 0.889 0.480 0.505
O 0.990 0.008 0.978
O 0.960 0.194 0.372
O 0.312 0.934 0.739
O 0.480 0.020 0.376
O 0.249 0.311 0.992
O 0.009 0.631 0.028

Properties
- energy (eV/atom) = -7.0690
- E_form (eV per atom) = -2.04
- ΔE to the lowest computed polymorph (eV/atom) = 0.055
- M_tot (μB/cell) = 10.7

---

Record 5
DFT (GGA+U) results for crystalline Cr3O at its relaxed geometry.

Cell lengths 5.218, 5.218, 5.218 Å; angles 90.00, 90.00, 90.00 degrees
Element x y z (fractional)
Cr 0.000 0.250 0.500
Cr 0.500 0.000 0.250
Cr 0.500 0.000 0.750
Cr 0.000 0.750 0.500
Cr 0.250 0.500 0.000
Cr 0.750 0.500 0.000
O 0.000 0.000 0.000
O 0.500 0.500 0.500

Properties
- energy (eV/atom) = -5.9843
- E_form (eV per atom) = 0.82
- ΔE to the lowest computed polymorph (eV/atom) = 0.739
- M_tot (μB/cell) = 30.2

---

Record 6
DFT (GGA+U) results for crystalline AlW2O4 at its relaxed geometry.

Cell lengths 6.491, 6.491, 6.491 Å; angles 53.85, 53.85, 53.85 degrees
Element x y z (fractional)
Al 0.629 0.629 0.629
Al 0.371 0.371 0.371
W 0.500 0.000 0.000
W 0.000 0.000 0.000
W 0.000 0.500 0.000
W 0.000 0.000 0.500
O 0.749 0.261 0.749
O 0.251 0.251 0.739
O 0.739 0.251 0.251
O 0.264 0.264 0.264
O 0.749 0.749 0.261
O 0.251 0.739 0.251
O 0.261 0.749 0.749
O 0.736 0.736 0.736

Properties
- energy (eV/atom) = -7.1061
- E_form (eV per atom) = -1.70
- ΔE to the lowest computed polymorph (eV/atom) = 0.000
- M_tot (μB/cell) = 1.7

---

Record 7
DFT (GGA+U) results for crystalline Mn2ZnO4 at its relaxed geometry.

Cell lengths 6.078, 6.078, 6.078 Å; angles 60.00, 60.00, 60.00 degrees
Element x y z (fractional)
Mn 0.125 0.125 0.125
Mn 0.625 0.125 0.125
Mn 0.125 0.125 0.625
Mn 0.125 0.625 0.125
Zn 0.750 0.750 0.750
Zn 0.500 0.500 0.500
O 0.886 0.342 0.886
O 0.364 0.364 0.908
O 0.364 0.364 0.364
O 0.908 0.364 0.364
O 0.886 0.886 0.886
O 0.342 0.886 0.886
O 0.364 0.908 0.364
O 0.886 0.886 0.342

Properties
- energy (eV/atom) = -6.6603
- E_form (eV per atom) = -1.90
- ΔE to the lowest computed polymorph (eV/atom) = 0.078
- M_tot (μB/cell) = 16.0

---

Record 8
DFT (GGA+U) results for crystalline Ca8Ti2Mn6O23 at its relaxed geometry.

Cell lengths 7.672, 7.662, 7.681 Å; angles 90.00, 90.00, 90.00 degrees
Element x y z (fractional)
Ca 0.257 0.262 0.251
Ca 0.261 0.268 0.740
Ca 0.257 0.738 0.251
Ca 0.261 0.732 0.740
Ca 0.743 0.262 0.251
Ca 0.739 0.268 0.740
Ca 0.743 0.738 0.251
Ca 0.739 0.732 0.740
Ti 0.000 0.000 0.985
Ti 0.500 0.000 0.008
Mn 0.000 0.000 0.499
Mn 0.000 0.500 0.005
Mn 0.000 0.500 0.496
Mn 0.500 0.000 0.498
Mn 0.500 0.500 0.999
Mn 0.500 0.500 0.498
O 0.000 0.000 0.756
O 0.000 0.500 0.251
O 0.000 0.500 0.750
O 0.500 0.000 0.255
O 0.500 0.000 0.750
O 0.500 0.500 0.250
O 0.500 0.500 0.749
O 0.243 0.000 0.039
O 0.248 0.000 0.476
O 0.250 0.500 0.996
O 0.250 0.500 0.506
O 0.757 0.000 0.039
O 0.752 0.000 0.476
O 0.750 0.500 0.996
O 0.750 0.500 0.506
O 0.000 0.248 0.025
O 0.000 0.248 0.475
O 0.000 0.752 0.025
O 0.000 0.752 0.475
O 0.500 0.252 0.997
O 0.500 0.250 0.505
O 0.500 0.748 0.997
O 0.500 0.750 0.505

Properties
- energy (eV/atom) = -7.2144
- E_form (eV per atom) = -2.73
- ΔE to the lowest computed polymorph (eV/atom) = 0.040
- M_tot (μB/cell) = 20.0

---

Record 9
DFT (GGA+U) results for crystalline Ca4Al6WO16 at its relaxed geometry.

Cell lengths 8.193, 8.193, 8.193 Å; angles 109.47, 109.47, 109.47 degrees
Element x y z (fractional)
Ca 0.000 0.000 0.498
Ca 0.000 0.498 0.000
Ca 0.502 0.502 0.502
Ca 0.498 0.000 0.000
Al 0.500 0.250 0.750
Al 0.750 0.250 0.500
Al 0.750 0.500 0.250
Al 0.250 0.500 0.750
Al 0.250 0.750 0.500
Al 0.500 0.750 0.250
W 0.000 0.000 0.000
O 0.693 0.303 0.303
O 0.610 0.610 0.307
O 0.610 0.307 0.610
O 0.697 0.000 0.390
O 0.697 0.390 0.000
O 0.303 0.693 0.303
O 0.390 0.000 0.697
O 0.000 0.697 0.390
O 0.000 0.390 0.697
O 0.390 0.697 0.000
O 0.303 0.303 0.693
O 0.779 0.779 0.779
O 0.000 0.000 0.221
O 0.221 0.000 0.000
O 0.000 0.221 0.000
O 0.307 0.610 0.610

Properties
- energy (eV/atom) = -7.2420
- E_form (eV per atom) = -3.27
- ΔE to the lowest computed polymorph (eV/atom) = 0.019
- M_tot (μB/cell) = 0.0
- largest piezoelectric modulus (C/m2) = 0.5

---

Record 10
DFT (GGA+U) results for crystalline CrO3 at its relaxed geometry.

Cell lengths 6.870, 6.870, 5.858 Å; angles 74.73, 74.73, 84.39 degrees
Element x y z (fractional)
Cr 0.796 0.617 0.770
Cr 0.617 0.796 0.270
Cr 0.383 0.204 0.730
Cr 0.204 0.383 0.230
O 0.970 0.776 0.667
O 0.897 0.396 0.813
O 0.776 0.970 0.167
O 0.649 0.643 0.555
O 0.604 0.103 0.687
O 0.643 0.649 0.055
O 0.357 0.351 0.945
O 0.396 0.897 0.313
O 0.351 0.357 0.445
O 0.224 0.030 0.833
O 0.103 0.604 0.187
O 0.030 0.224 0.333

Properties
- energy (eV/atom) = -6.6065
- E_form (eV per atom) = -1.50
- ΔE to the lowest computed polymorph (eV/atom) = 0.014
- M_tot (μB/cell) = 0.0

---

Record 11
DFT (GGA+U) results for crystalline V5W3O20 at its relaxed geometry.

Cell lengths 4.118, 7.565, 12.829 Å; angles 72.77, 90.68, 89.94 degrees
Element x y z (fractional)
V 0.905 0.828 0.345
V 0.086 0.173 0.661
V 0.103 0.174 0.151
V 0.907 0.321 0.859
V 0.891 0.829 0.842
W 0.928 0.319 0.357
W 0.074 0.674 0.648
W 0.088 0.680 0.144
O 0.004 0.413 0.183
O 0.991 0.585 0.814
O 0.000 0.101 0.812
O 0.004 0.903 0.183
O 0.510 0.823 0.356
O 0.475 0.174 0.648
O 0.987 0.244 0.505
O 0.003 0.751 0.503
O 0.520 0.672 0.153
O 0.500 0.173 0.148
O 0.510 0.322 0.847
O 0.495 0.830 0.853
O 0.014 0.749 0.999
O 0.991 0.252 0.996
O 0.012 0.584 0.320
O 0.012 0.097 0.319
O 0.996 0.411 0.672
O 0.991 0.913 0.679
O 0.497 0.327 0.349
O 0.505 0.674 0.655

Properties
- energy (eV/atom) = -7.5232
- E_form (eV per atom) = -2.25
- ΔE to the lowest computed polymorph (eV/atom) = 0.012
- M_tot (μB/cell) = 3.0

---

Record 12
DFT (GGA+U) results for crystalline Ba2YMgNi3O8 at its relaxed geometry.

Cell lengths 4.017, 3.859, 14.132 Å; angles 90.00, 90.00, 90.00 degrees
Element x y z (fractional)
Ba 0.500 0.500 0.074
Ba 0.500 0.500 0.795
Y 0.500 0.500 0.525
Mg 0.000 0.500 0.275
Ni 0.000 0.000 0.401
Ni 0.000 0.000 0.933
Ni 0.000 0.000 0.653
O 0.000 0.500 0.412
O 0.500 0.000 0.432
O 0.500 0.000 0.959
O 0.000 0.000 0.239
O 0.000 0.500 0.611
O 0.500 0.000 0.633
O 0.000 0.000 0.793
O 0.000 0.500 0.969

Properties
- energy (eV/atom) = -5.7839
- E_form (eV per atom) = -2.07
- ΔE to the lowest computed polymorph (eV/atom) = 0.028
- M_tot (μB/cell) = 5.1

---

Record 13
DFT (GGA+U) results for crystalline NaW9O27 at its relaxed geometry.

Cell lengths 8.657, 8.657, 8.657 Å; angles 66.42, 66.42, 66.42 degrees
Element x y z (fractional)
Na 0.000 0.000 0.000
W 0.500 0.500 0.500
W 0.943 0.610 0.280
W 0.832 0.832 0.832
W 0.720 0.057 0.390
W 0.168 0.168 0.168
W 0.280 0.943 0.610
W 0.390 0.720 0.057
W 0.610 0.280 0.943
W 0.057 0.390 0.720
O 0.445 0.611 0.278
O 0.165 0.670 0.165
O 0.000 0.500 0.500
O 0.722 0.555 0.389
O 0.944 0.611 0.778
O 0.835 0.835 0.330
O 0.500 0.500 0.000
O 0.389 0.722 0.555
O 0.890 0.725 0.055
O 0.055 0.890 0.725
O 0.330 0.835 0.835
O 0.222 0.056 0.389
O 0.670 0.165 0.165
O 0.778 0.944 0.611
O 0.945 0.110 0.275
O 0.500 0.000 0.500
O 0.611 0.778 0.944
O 0.725 0.055 0.890
O 0.056 0.389 0.222
O 0.611 0.278 0.445
O 0.275 0.945 0.110
O 0.165 0.165 0.670
O 0.835 0.330 0.835
O 0.278 0.445 0.611
O 0.389 0.222 0.056
O 0.110 0.275 0.945
O 0.555 0.389 0.722

Properties
- energy (eV/atom) = -7.4148
- E_form (eV per atom) = -2.20